Computed, not measured: a geometry-optimized Na2Y2SiS2O12 structure at the GGA-PBE level of DFT. Values from VASP.

Structure (Quantum ESPRESSO input):
```
&SYSTEM
  ibrav = 0, nat = 114, ntyp = 5
/
ATOMIC_SPECIES
Y 88.91 Y.upf
O 16.00 O.upf
S 32.06 S.upf
Na 22.99 Na.upf
Si 28.09 Si.upf
CELL_PARAMETERS angstrom
-2.5970 -3.4521 8.2438
7.6882 -3.2103 -4.1480
12.8705 16.7250 11.2073
ATOMIC_POSITIONS angstrom
Y 4.6171 -3.0548 0.0833
O 4.7266 4.4587 9.3976
O 14.7284 8.0756 9.0983
O 4.8387 -4.6261 5.7362
O 5.5389 -1.1955 -0.5222
O 12.4678 10.0850 9.1194
O 6.3775 5.6456 5.3288
S 7.3212 4.6488 5.9229
O 6.6006 6.7358 9.0795
O 10.9424 5.0135 3.5862
O 10.1390 10.3199 8.5789
Na 12.9139 7.7733 7.5187
O 10.8459 0.9973 7.0913
O 7.9306 8.5566 10.5720
O 3.1827 -0.4296 3.8758
O 1.6832 -1.9842 2.7564
O 11.2711 3.1857 6.2183
Y 3.1846 -0.3226 6.2380
O 6.2856 -3.2954 1.6488
O 6.3678 5.9283 13.8302
S 6.8044 -0.5049 5.6744
O 2.0515 0.1751 1.7871
S 11.1694 10.5667 9.6126
O 11.1976 12.0103 9.9620
Na 16.3815 8.0789 7.3819
S -0.3909 -1.0368 6.3000
Na 5.1399 2.0419 8.1926
O 14.1241 11.4373 13.6051
Na 11.2738 10.7987 13.5539
O 3.4754 4.2790 5.1529
O 14.5172 12.5506 8.8275
Y 10.9754 5.4084 5.6250
O 18.1430 12.3744 9.8055
S 15.2744 11.0250 12.7476
O 7.1908 0.2069 4.4475
O 2.7501 0.9650 10.7345
O 9.1411 9.6828 13.2183
O 10.6237 6.6167 10.2886
O 7.7730 -0.2919 6.7804
Na 14.6070 9.9194 15.7366
Na 4.7584 6.0236 7.3870
Na 7.4834 -3.1846 -3.8462
O 3.5681 0.1919 8.3083
Si 10.4005 4.6513 2.0649
Y 9.5765 8.0965 11.8068
O 11.5251 7.7902 13.1249
O 2.2264 -4.3237 5.1339
Y 9.5768 -0.7023 -2.4440
Si 18.3701 11.0059 8.9028
O 3.4683 -2.3877 6.5555
O 13.2967 14.5740 9.4895
O 13.7986 7.5536 13.8843
O 14.7298 10.5803 11.4477
Y 8.2229 2.1235 3.4615
O 9.3419 4.7773 9.3443
O 4.0335 2.3922 1.2634
O 16.9101 10.2433 8.7588
O -0.7721 -1.5122 7.6597
O 3.8513 -1.4237 1.7700
Na 13.4476 4.5890 8.0358
O 8.9931 0.4486 1.9467
S 7.5435 5.3639 13.1097
O 14.4174 5.5875 10.0436
O 10.7933 9.8545 10.8763
O -0.2942 -2.2419 5.4472
Na 6.3370 -0.4038 1.8011
Y 13.4596 13.1153 15.0704
O 10.0806 1.5725 4.8317
O 3.1033 2.0273 5.9231
Na 3.8247 0.3979 -0.1322
O 11.1284 5.8372 8.0509
O 15.2401 9.0640 4.7455
S 10.1630 -0.0158 1.1362
O 14.5831 9.9172 6.8704
O 16.2368 12.1246 12.5657
O 11.6373 4.4148 9.9253
Y 7.1028 4.6501 9.5299
O 9.2845 3.4384 2.1976
Si 5.4811 3.1318 1.4991
O 15.9535 9.8981 13.4590
S 15.0830 10.3295 5.5208
Y 1.9941 2.4064 12.0730
S 2.7002 -0.9269 2.5715
S 14.5907 14.0111 9.0604
O 6.7663 4.2821 7.2593
Y 14.8508 10.2339 9.2201
O 9.6120 -0.3547 -0.2088
O 11.7427 13.1666 13.7216
O 6.5503 1.9938 2.0926
O 0.9154 -0.3351 6.3326
O 7.0523 4.9282 11.7838
Si 15.4665 6.8486 9.9587
Y 16.0255 7.6425 3.1705
O 5.4921 0.0079 6.1851
S 10.6657 5.4331 9.4061
O 18.8287 11.6055 7.4315
S 11.1366 1.7475 5.8551
O 8.2505 10.5509 15.5860
O 7.0939 2.4663 9.5550
Y 8.4264 10.7729 17.6742
O 7.3769 3.4186 5.1059
O 7.1338 9.1542 8.0092
Na 8.0439 2.2058 0.2479
O 8.6545 5.2631 6.0393
Na 13.9161 5.1812 1.7554
O 8.6032 6.3883 12.9439
O 11.7578 4.0748 1.3165
O 15.5916 14.3155 10.1207
O 12.4122 11.1850 16.0071
Si 3.4046 -4.0152 6.2444
O 6.6901 -1.9506 5.3778
Si 6.7859 8.3437 9.3913
O 13.0869 5.7109 5.9766
O 10.7135 7.6940 5.6375
```

Results
calculated formation energy: -2.78 eV/atom
total moment: 0.0 μB/cell
E (MP2020): -0.2737 hartree per atom

Computed, not measured: a geometry-optimized Na6Y8Si3S9O48 structure at the GGA-PBE level of DFT. Values from VASP.

Structure (Quantum ESPRESSO input):
```
&SYSTEM
  ibrav = 0, nat = 222, ntyp = 5
/
ATOMIC_SPECIES
O 16.00 O.upf
Si 28.09 Si.upf
S 32.06 S.upf
Y 88.91 Y.upf
Na 22.99 Na.upf
CELL_PARAMETERS angstrom
18.5651 0.0649 0.0114
-4.6132 7.9951 -0.0070
0.0146 -0.0123 24.2189
ATOMIC_POSITIONS angstrom
O 12.8042 4.0839 22.4000
O 1.9052 5.1592 21.0276
O 10.3097 1.5180 2.1197
Si -1.3400 2.9165 22.2094
O 1.9212 5.5467 23.4394
S 12.5917 5.6979 6.0207
O 10.1033 7.0812 8.9050
Si 7.4641 8.0184 6.0928
Y 4.6228 2.6099 4.5461
O 14.5593 1.0441 10.2567
O 2.8514 2.7052 10.2266
O 8.5392 7.1460 21.0222
O -0.7139 3.7085 6.1308
O -0.5806 1.4453 22.1425
Si 7.9408 2.9539 22.1671
O 6.5611 2.8137 15.6160
S 12.0426 5.3730 22.2450
O 13.0088 1.3902 5.9759
O 3.9045 6.3797 14.2589
Y 9.2957 0.0896 20.5573
Na 0.1273 5.1925 16.2569
O 15.8358 2.5654 12.9298
O 1.1423 3.7648 8.8869
S -1.3433 7.6970 22.2129
O 6.4863 7.8845 4.7793
S -1.3669 2.3732 6.0275
S 12.5895 5.1129 14.1377
O 12.3293 2.5906 18.0770
O 6.4578 7.8379 22.1283
Si 6.5110 5.3702 10.0830
Y 14.0920 2.7107 23.7629
S 7.9289 2.3835 6.0337
O 0.8214 7.0307 8.8984
O 7.4940 5.2250 1.9023
Na 9.1762 0.0359 12.2003
O 8.6662 7.0387 14.0247
Na 4.6179 2.6676 20.0250
O 13.3368 4.3999 5.8707
O 8.7007 1.4822 22.1345
Y 4.6017 2.6863 16.5151
O 3.6817 6.4730 22.0929
O 5.4641 0.9752 3.2264
O 13.1571 4.4425 12.9318
O 1.1468 6.8663 11.3040
O 8.4410 6.7019 6.1057
O 13.1471 1.0725 15.2858
O 15.0224 1.1529 0.8238
O 0.7183 1.6235 9.9967
O 3.5079 1.0604 12.8335
S 10.6863 3.0017 10.0857
O 8.4498 1.7037 4.8235
O 10.4400 1.5926 19.6402
Si 1.4704 2.4037 18.1999
Si -1.8351 7.9913 6.0831
O 11.1932 0.2121 7.4642
S 3.2524 5.0598 14.1206
O 8.6044 3.7022 6.1265
O 0.8588 3.6342 11.3014
O 14.7556 0.9938 3.2292
O 1.7762 5.2170 13.9948
O 2.7691 7.7916 16.9613
O -3.5820 6.4221 16.9405
S 15.3078 5.0967 2.0655
O -2.8282 7.8050 22.1107
Y -0.0252 5.1906 19.6878
S 12.6023 0.3587 14.1017
O 3.5169 4.0489 22.3858
O 10.3279 6.8695 18.2922
S 1.3853 7.6984 10.1040
Na 7.7137 2.9132 17.9756
O -0.7418 7.1042 21.0095
O 15.7266 2.6874 5.8904
Na 0.0715 5.4867 4.1376
Na 12.1904 0.1171 10.0890
Na 9.1797 5.4912 4.2156
O -1.0235 6.9102 23.4270
Y 13.8338 2.5761 4.5147
Si 7.4408 2.6758 14.2279
Y 4.7535 7.9734 8.4677
Na 9.3118 5.1948 16.0470
Na 4.7569 2.8249 8.1444
O 17.5250 1.4879 14.2325
O 5.5440 4.0548 10.1573
O 12.8873 4.2850 15.3360
O 3.8116 0.9709 15.2656
S 1.3926 2.9588 10.0989
O 5.4692 4.4012 0.8137
O 5.7302 1.1164 0.8184
S 3.2813 5.6529 6.0228
Si 10.7060 2.4148 18.2332
Na -2.8849 5.2047 6.1569
O 3.9395 4.3257 5.8835
O 10.0753 6.9881 1.8913
O -0.6575 3.6410 23.5249
O 1.0222 6.8574 18.3233
O 6.4703 2.5426 12.9178
O 12.0027 2.5579 0.7536
O 14.7459 4.4075 0.8734
O 5.7716 1.2819 18.0576
Y 9.2443 5.2977 0.4039
O -1.0180 3.8337 20.9127
Na 2.9285 0.1641 10.0850
O 3.5016 4.2289 15.3254
S 11.1839 2.7139 1.9816
O 11.2027 5.5800 23.4491
O 0.8039 1.6056 16.9269
O 11.1953 5.1884 21.0413
O 5.4845 6.2795 19.3835
O 6.3200 2.7903 22.3300
O 13.0737 1.1419 22.3912
Y -4.5550 7.9676 8.4987
O 8.2469 3.8299 20.8246
O 7.4599 5.2025 8.7629
O 5.7198 6.4258 16.9585
Y 14.0052 2.8334 11.6670
Si -2.7392 5.3252 10.0389
O -3.6250 6.7299 9.9976
O 3.7883 1.1054 22.3799
O 3.7240 1.3139 5.9107
O 5.4894 4.2590 18.0844
O 14.7501 4.3205 18.0249
O 2.7201 2.5294 0.7559
O 1.1477 1.5716 19.6000
O 9.9751 1.6462 16.9935
O 12.8587 1.1502 12.8663
O -0.9541 6.5874 6.1263
O 10.4492 6.9052 11.3244
O 8.6421 3.7116 23.4553
S 15.8281 0.0476 18.1518
O 14.8679 4.0715 10.2037
O 5.2470 0.9918 10.2281
O 8.1608 1.5735 7.2456
Y 0.0066 0.0960 20.5236
O 16.7893 0.2041 2.1460
Y 4.8141 2.6745 23.7455
S 1.9323 8.0041 18.1586
O 9.9385 3.8831 18.2825
O 15.5980 2.8105 22.3488
Na 18.4663 0.1194 24.0995
S 1.9196 2.6897 1.9941
O 3.8255 6.2980 7.2390
O 7.5002 5.6527 11.3600
S 15.3094 5.6940 18.1548
O 8.2657 6.9459 23.4372
S 15.3172 0.3266 2.0255
S 3.2580 0.2899 14.0741
O 13.2337 6.4441 14.2556
Y 4.7770 8.0111 3.6744
O -1.7839 5.1961 1.9107
O 13.1762 6.3413 7.2256
S 6.0154 5.0608 2.0282
O 5.3809 6.4036 2.1158
O 1.0379 1.4919 2.1336
O 12.1223 7.9693 9.9519
O 7.4071 0.1797 19.3729
O 15.8401 2.8722 15.3466
O 5.6232 6.7706 9.9909
S 10.6724 7.7199 10.1204
O 5.7352 4.2488 3.2278
O 11.1498 5.4592 6.1701
O 1.0743 3.9154 1.9258
O 3.7856 4.3983 12.9107
O -1.7108 5.5623 11.2973
Y 0.0581 0.0977 15.7758
Y 9.2959 0.1563 15.6838
Y 4.8422 2.8035 11.7261
O 0.7838 6.9587 1.9049
O -1.8748 5.1557 8.6495
Na 13.9009 2.6843 8.1372
O 2.8312 7.9298 9.9496
Na 10.8675 2.4680 22.0706
Na 14.0481 2.7218 20.0695
O -1.0063 3.8436 14.0033
O 0.7612 3.8931 18.2234
Y -0.0264 5.2740 0.3919
O 3.0991 2.5284 18.0888
O 3.5394 6.4814 4.8194
O 10.1751 3.6679 11.2962
Y 0.0945 0.0094 3.6360
O 8.3921 4.0208 14.1225
S 16.6792 2.7104 14.1454
Y -0.0459 5.3316 12.5201
O 15.0388 4.3157 3.2948
O 10.0388 1.6613 9.9749
S 6.0289 0.3026 2.0292
O 7.5260 5.5292 18.2728
O 7.5012 0.1743 2.1425
O 16.6607 0.2054 19.3731
S 7.9397 7.7364 22.2306
O 8.3758 1.3210 14.2026
Y -0.0176 5.3649 7.6684
Y 9.1592 5.3855 7.6394
O 2.8003 2.8224 3.1796
O -0.8434 1.6993 4.8207
O 12.0631 2.8603 3.1707
O -0.7135 6.9397 13.9970
Y 9.1364 5.2649 12.5955
O 1.8166 5.4665 6.1443
Na 1.5884 2.4376 22.0567
O 12.0654 7.8474 16.9500
O 11.1374 0.1734 14.2403
O 12.9661 6.5097 22.1014
S 6.0355 5.6481 18.1650
O 14.6655 6.4390 2.1303
O -1.7749 5.5542 18.2441
O 10.4743 3.8127 8.8763
O 12.1668 2.7434 10.2286
O 6.4586 2.5834 5.8913
O 15.0111 1.2847 18.0156
O 12.8312 6.5322 4.8205
Y 9.2959 5.3010 19.7317
O 14.7319 6.3033 19.3743
O 11.1266 5.2484 14.0057
Y 13.8431 2.7170 16.6301
O 1.7813 0.1145 14.2172
S 2.7542 5.3374 22.2286
O 17.4199 1.6257 7.2468
Na 13.9347 7.9233 12.0963
O 1.8771 0.1640 7.4509
O 10.3478 3.9424 1.9079
O -2.8573 7.7491 4.8102
Na 9.1686 0.0705 24.1347
```

Results
calculated formation energy: -2.75 eV/atom
total moment: 0.0 μB/cell
E (MP2020): -0.2752 hartree per atom